No. 1
The following is a DFT calculation (r2SCAN) of an optimized crystal structure of AcF3.

Cell and atoms, written as POSCAR:
```
AcF3
1.0
0.000 2.994 2.994
2.994 0.000 2.994
2.994 2.994 0.000
Ac F
1 3
Direct
0.750 0.750 0.750
0.000 0.000 0.000
0.500 0.500 0.500
0.250 0.250 0.250
```

Computed properties:
* excess energy over the best structure of this formula in the dataset: 4.7 meV/atom
* calculated total energy: -23.97 eV/atom
* formation energy from the elements: -102.9 kcal/mol of atoms


No. 2
The following is a DFT calculation (r2SCAN) of an optimized crystal structure of AcOF.

Cell and atoms, written as POSCAR:
```
AcOF
1.0
4.205 0.000 0.000
2.103 3.642 0.000
2.103 1.214 3.434
Ac O F
1 1 1
Direct
0.000 0.000 0.000
0.250 0.250 0.250
0.750 0.750 0.750
```

Computed properties:
* calculated total energy: -30.02 eV/atom
* formation energy from the elements: -94.6 kcal/mol of atoms